[1]
The following is a DFT calculation (GGA-PBE) of a relaxed structure of ZnSn2O4.

Output
Magnetic moment ... 0.000 μB/atom
Calculated formation energy ... -1.49 eV per atom
Crystal system ... orthorhombic
Energy ... -5.25 eV per atom
Energy above the lowest structure with this stoichiometry ... 293.0 meV per atom

Cell lengths 3.208, 10.680, 11.011 Å; angles 90.00, 90.00, 90.00 degrees
Space group Cmcm (No. 63)
Unique sites:
Zn1 0.000 0.101 0.250 x4
Sn1 0.000 0.368 0.077 x8
O1 0.000 0.000 0.000 x4
O2 0.000 0.272 0.615 x8
O3 0.000 0.481 0.250 x4



[2]
The following is a DFT calculation (GGA-PBE) of a relaxed structure of HfThO3.

Output
Magnetic moment ... 0.006 μB/atom
Calculated formation energy ... -3.16 eV per atom
Crystal system ... cubic
Energy ... -9.19 eV per atom

Cell lengths 4.120, 4.120, 4.120 Å; angles 90.00, 90.00, 90.00 degrees
Space group Pm-3m (No. 221)
Unique sites:
Hf1 0.000 0.000 0.000 x1
Th1 0.500 0.500 0.500 x1
O1 0.000 0.000 0.500 x3



[3]
The following is a DFT calculation (GGA-PBE) of a relaxed structure of ZrCuF6.

Output
Calculated formation energy ... -3.17 eV per atom
Crystal system ... trigonal
Energy ... -5.84 eV per atom

Cell lengths 5.6454, 5.6454, 14.1419 Å; angles 90.00, 90.00, 120.00 degrees
Space group R-3 (No. 148, hexagonal axes)
Unique sites:
Zr1 0.0000 0.0000 0.0000 x3
Cu1 0.0000 0.0000 0.5000 x3
F1 0.0009 0.5550 0.2499 x18



[4]
The following is a DFT calculation (GGA-PBE) of a relaxed structure of YMg.

Output
Magnetic moment ... 0.000 μB/atom
Calculated formation energy ... -0.02 eV per atom
Crystal system ... monoclinic
Energy ... -4.06 eV per atom

Cell lengths 12.441, 3.460, 5.759 Å; angles 90.00, 114.39, 90.00 degrees
Space group C2/m (No. 12)
Unique sites:
Y1 0.121 0.000 0.302 x4
Mg1 0.132 0.500 0.803 x4



[5]
The following is a DFT calculation (GGA-PBE) of a relaxed structure of Rb2Li3BP4O14.

Output
Magnetic moment ... 0.000 μB/atom
Calculated formation energy ... -2.74 eV per atom
Crystal system ... orthorhombic
Energy ... -6.73 eV per atom

Cell lengths 24.268, 14.373, 7.179 Å; angles 90.00, 90.00, 90.00 degrees
Space group Cmce (No. 64)
Unique sites:
Rb1 0.000 0.114 0.201 x8
Rb2 0.250 0.154 0.750 x8
Li1 0.119 0.000 0.000 x8
Li2 0.133 0.235 0.976 x16
B1 0.120 0.000 0.500 x8
P1 0.063 0.135 0.698 x16
P2 0.189 0.097 0.260 x16
O1 0.000 0.163 0.632 x8
O2 0.061 0.072 0.865 x16
O3 0.084 0.083 0.517 x16
O4 0.093 0.227 0.719 x16
O5 0.155 0.010 0.332 x16
O6 0.170 0.116 0.062 x16
O7 0.191 0.177 0.395 x16
O8 0.250 0.049 0.250 x8



[6]
The following is a DFT calculation (GGA-PBE) of a relaxed structure of U5Sb4.

Output
Magnetic moment ... 0.582 μB/atom
Calculated formation energy ... -0.18 eV per atom
Crystal system ... hexagonal
Energy ... -8.21 eV per atom

Cell lengths 9.3095, 9.3095, 6.1437 Å; angles 90.00, 90.00, 120.00 degrees
Space group P6_3/mcm (No. 193)
Unique sites:
U1 0.0000 0.2884 0.2500 x6
U2 0.3333 0.6667 0.0000 x4
Sb1 0.0000 0.0000 0.0000 x2
Sb2 0.0000 0.3774 0.7500 x6



[7]
The following is a DFT calculation (GGA-PBE) of a relaxed structure of ScVFe.

Output
Magnetic moment ... 0.001 μB/atom
Calculated formation energy ... 0.68 eV per atom
Crystal system ... cubic
Energy ... -7.28 eV per atom

Cell lengths 5.779, 5.779, 5.779 Å; angles 90.00, 90.00, 90.00 degrees
Space group F-43m (No. 216)
Unique sites:
Sc1 0.000 0.000 0.000 x4
V1 0.250 0.250 0.250 x4
Fe1 0.000 0.000 0.500 x4



[8]
The following is a DFT calculation (GGA-PBE) of a relaxed structure of ZnAg2P2O9.

Output
Calculated formation energy ... -1.63 eV per atom
Crystal system ... orthorhombic
Energy ... -5.64 eV per atom

Cell lengths 15.791, 6.477, 7.176 Å; angles 90.00, 90.00, 90.00 degrees
Space group Pnma (No. 62)
Unique sites:
Zn1 0.225 0.250 0.092 x4
Ag1 0.000 0.000 0.000 x4
Ag2 0.118 0.250 0.632 x4
P1 0.078 0.750 0.621 x4
P2 0.207 0.750 0.117 x4
O1 0.019 0.750 0.455 x4
O2 0.024 0.750 0.805 x4
O3 0.056 0.250 0.883 x4
O4 0.145 0.573 0.626 x8
O5 0.157 0.544 0.113 x8
O6 0.227 0.250 0.450 x4
O7 0.237 0.250 0.800 x4



[9]
The following is a DFT calculation (GGA-PBE) of a relaxed structure of Cu2AgHSe2O10.

Output
Magnetic moment ... 0.000 μB/atom
Calculated formation energy ... -0.92 eV per atom
Crystal system ... monoclinic
Energy ... -4.92 eV per atom

Cell lengths 8.867, 6.195, 8.248 Å; angles 90.00, 119.34, 90.00 degrees
Space group C2/m (No. 12)
Unique sites:
Cu1 0.250 0.250 0.000 x4
Ag1 0.000 0.000 0.500 x2
H1 0.000 0.000 0.000 x2
Se1 0.080 0.500 0.294 x4
O1 0.047 0.272 0.758 x8
O2 0.155 0.000 0.045 x4
O3 0.180 0.500 0.169 x4
O4 0.217 0.500 0.520 x4



[10]
The following is a DFT calculation (GGA-PBE) of a relaxed structure of ThSi2Pt2.

Output
Magnetic moment ... 0.000 μB/atom
Calculated formation energy ... -1.03 eV per atom
Crystal system ... tetragonal
Energy ... -7.11 eV per atom

Cell lengths 4.259, 4.259, 10.000 Å; angles 90.00, 90.00, 90.00 degrees
Space group I4/mmm (No. 139)
Unique sites:
Th1 0.000 0.000 0.000 x2
Si1 0.000 0.000 0.381 x4
Pt1 0.000 0.500 0.250 x4



[11]
The following is a DFT calculation (GGA-PBE) of a relaxed structure of K2La2Sb2S9.

Output
Magnetic moment ... 0.000 μB/atom
Calculated formation energy ... -1.44 eV per atom
Crystal system ... orthorhombic
Energy ... -4.98 eV per atom

Cell lengths 11.328, 17.080, 4.136 Å; angles 90.00, 90.00, 90.00 degrees
Space group Pbam (No. 55)
Unique sites:
K1 0.218 0.057 0.000 x4
La1 0.116 0.795 0.000 x4
Sb1 0.052 0.384 0.500 x4
S1 0.000 0.500 0.000 x2
S2 0.008 0.121 0.500 x4
S3 0.114 0.288 0.000 x4
S4 0.150 0.672 0.500 x4
S5 0.171 0.912 0.500 x4